{"formula": "TiGe2", "functional": "GGA-PBE", "state": "optimized geometry", "lattice_angstrom": [[0.0000, 4.3384, 4.4324], [2.5449, 0.0000, 4.4324], [2.5449, 4.3384, 0.0000]], "species": ["Ti", "Ti", "Ge", "Ge", "Ge", "Ge"], "frac_coords": [[0.0000, 0.0000, 0.0000], [0.2500, 0.2500, 0.2500], [0.9182, 0.5818, 0.9182], [0.6682, 0.3318, 0.6682], [0.3318, 0.6682, 0.3318], [0.5818, 0.9182, 0.5818]], "ef_mev_per_atom": -418.9}